1.
# MgSiO3

A relaxed MgSiO3 crystal (PBE, the Materials Project).

Computed properties:
**Energy relative to the elements**: -3229 meV/atom
**Corrected total energy (MP2020 scheme)**: -7.603 eV per atom

a = 9.3661 Å, b = 8.8587 Å, c = 5.3800 Å
α = 90.00°, β = 90.00°, γ = 90.00°
With the nearest neighbours (Å) after each atom.
Fractional coordinates of all 40 atoms:
Mg  0.0000  0.0982  0.2500  6 O 2.03-2.23
Mg  0.0000  0.2619  0.7500  4 O 2.06-2.07
Mg  0.0000  0.7381  0.2500  4 O 2.06-2.07
Mg  0.0000  0.9018  0.7500  6 O 2.03-2.23
Mg  0.5000  0.2381  0.2500  4 O 2.06-2.07
Mg  0.5000  0.4018  0.7500  6 O 2.03-2.23
Mg  0.5000  0.5982  0.2500  6 O 2.03-2.23
Mg  0.5000  0.7619  0.7500  4 O 2.06-2.07
Si  0.2080  0.4093  0.0644  4 O 1.61-1.68
Si  0.2080  0.5907  0.5644  4 O 1.61-1.68
Si  0.2920  0.0907  0.5644  4 O 1.61-1.68
Si  0.2920  0.9093  0.0644  4 O 1.61-1.68
Si  0.7080  0.0907  0.9356  4 O 1.61-1.68
Si  0.7080  0.9093  0.4356  4 O 1.61-1.68
Si  0.7920  0.4093  0.4356  4 O 1.61-1.68
Si  0.7920  0.5907  0.9356  4 O 1.61-1.68
O  0.1180  0.0939  0.5771  1 Si 1.63
O  0.1180  0.9061  0.0771  1 Si 1.63
O  0.1219  0.2524  0.0681  1 Si 1.61
O  0.1219  0.7476  0.5681  1 Si 1.61
O  0.1515  0.4748  0.7876  2 Si 1.67-1.68
O  0.1515  0.5252  0.2876  2 Si 1.67-1.68
O  0.3485  0.0252  0.2876  2 Si 1.67-1.68
O  0.3485  0.9748  0.7876  2 Si 1.67-1.68
O  0.3781  0.2476  0.5681  1 Si 1.61
O  0.3781  0.7524  0.0681  1 Si 1.61
O  0.3820  0.4061  0.0771  1 Si 1.63
O  0.3820  0.5939  0.5771  1 Si 1.63
O  0.6180  0.4061  0.4229  1 Si 1.63
O  0.6180  0.5939  0.9229  1 Si 1.63
O  0.6219  0.2476  0.9319  1 Si 1.61
O  0.6219  0.7524  0.4319  1 Si 1.61
O  0.6515  0.0252  0.2124  2 Si 1.67-1.68
O  0.6515  0.9748  0.7124  2 Si 1.67-1.68
O  0.8485  0.4748  0.7124  2 Si 1.67-1.68
O  0.8485  0.5252  0.2124  2 Si 1.67-1.68
O  0.8781  0.2524  0.4319  1 Si 1.61
O  0.8781  0.7476  0.9319  1 Si 1.61
O  0.8820  0.0939  0.9229  1 Si 1.63
O  0.8820  0.9061  0.4229  1 Si 1.63

2.
# MgSiO3

A relaxed MgSiO3 crystal (PBE, the Materials Project).

Computed properties:
**Energy relative to the elements**: -3227 meV/atom
**Corrected total energy (MP2020 scheme)**: -7.600 eV per atom
**Total magnetization**: 0.00 μB per cell

a = 18.6414 Å, b = 8.9000 Å, c = 5.3525 Å
α = 90.00°, β = 91.20°, γ = 90.00°
With the nearest neighbours (Å) after each atom.
Fractional coordinates of all 80 atoms:
Mg  0.0000  0.0966  0.2500  6 O 2.03-2.20
Mg  0.0000  0.2610  0.7500  4 O 2.06-2.08
Mg  0.0000  0.7390  0.2500  4 O 2.06-2.08
Mg  0.0000  0.9034  0.7500  6 O 2.03-2.20
Mg  0.2479  0.2420  0.2767  4 O 2.02-2.06
Mg  0.2479  0.7580  0.7767  4 O 2.02-2.06
Mg  0.2505  0.4009  0.7774  6 O 2.03-2.24
Mg  0.2505  0.5991  0.2774  6 O 2.03-2.24
Mg  0.5000  0.1001  0.2500  6 O 2.04-2.24
Mg  0.5000  0.2574  0.7500  4 O 2.03-2.06
Mg  0.5000  0.7426  0.2500  4 O 2.03-2.06
Mg  0.5000  0.8999  0.7500  6 O 2.04-2.24
Mg  0.7495  0.4009  0.7226  6 O 2.03-2.24
Mg  0.7495  0.5991  0.2226  6 O 2.03-2.24
Mg  0.7521  0.2420  0.2233  4 O 2.02-2.06
Mg  0.7521  0.7580  0.7233  4 O 2.02-2.06
Si  0.1028  0.4094  0.0791  4 O 1.61-1.68
Si  0.1028  0.5906  0.5791  4 O 1.61-1.68
Si  0.1471  0.0898  0.5815  4 O 1.61-1.69
Si  0.1471  0.9102  0.0815  4 O 1.61-1.69
Si  0.3522  0.0893  0.9088  4 O 1.62-1.67
Si  0.3522  0.9107  0.4088  4 O 1.62-1.67
Si  0.3959  0.4111  0.4508  4 O 1.60-1.68
Si  0.3959  0.5889  0.9508  4 O 1.60-1.68
Si  0.6041  0.4111  0.0492  4 O 1.60-1.68
Si  0.6041  0.5889  0.5492  4 O 1.60-1.68
Si  0.6478  0.0893  0.5912  4 O 1.62-1.67
Si  0.6478  0.9107  0.0912  4 O 1.62-1.67
Si  0.8529  0.0898  0.9185  4 O 1.61-1.69
Si  0.8529  0.9102  0.4185  4 O 1.61-1.69
Si  0.8972  0.4094  0.4209  4 O 1.61-1.68
Si  0.8972  0.5906  0.9209  4 O 1.61-1.68
O  0.0596  0.0911  0.5851  1 Si 1.63
O  0.0596  0.9089  0.0851  1 Si 1.63
O  0.0608  0.2517  0.0747  1 Si 1.61
O  0.0608  0.7483  0.5747  1 Si 1.61
O  0.0740  0.4775  0.8025  2 Si 1.66-1.68
O  0.0740  0.5225  0.3025  2 Si 1.66-1.68
O  0.1766  0.0283  0.3037  2 Si 1.67-1.69
O  0.1766  0.9717  0.8037  2 Si 1.67-1.69
O  0.1876  0.2490  0.5926  1 Si 1.61
O  0.1876  0.7510  0.0926  1 Si 1.61
O  0.1901  0.4078  0.0985  1 Si 1.63
O  0.1901  0.5922  0.5985  1 Si 1.63
O  0.3082  0.4082  0.4464  1 Si 1.63
O  0.3082  0.5918  0.9464  1 Si 1.63
O  0.3098  0.2426  0.9722  1 Si 1.62
O  0.3098  0.7574  0.4722  1 Si 1.62
O  0.3249  0.0307  0.6273  2 Si 1.66-1.67
O  0.3249  0.9693  0.1273  2 Si 1.66-1.67
O  0.4230  0.4655  0.7389  2 Si 1.67-1.68
O  0.4230  0.5345  0.2389  2 Si 1.67-1.68
O  0.4401  0.0925  0.9172  1 Si 1.64
O  0.4397  0.2568  0.4286  1 Si 1.60
O  0.4397  0.7432  0.9286  1 Si 1.60
O  0.4401  0.9075  0.4172  1 Si 1.64
O  0.5599  0.0925  0.5828  1 Si 1.64
O  0.5603  0.2568  0.0714  1 Si 1.60
O  0.5603  0.7432  0.5714  1 Si 1.60
O  0.5599  0.9075  0.0828  1 Si 1.64
O  0.5770  0.4655  0.7611  2 Si 1.67-1.68
O  0.5770  0.5345  0.2611  2 Si 1.67-1.68
O  0.6751  0.0307  0.8727  2 Si 1.66-1.67
O  0.6751  0.9693  0.3727  2 Si 1.66-1.67
O  0.6902  0.2426  0.5278  1 Si 1.62
O  0.6902  0.7574  0.0278  1 Si 1.62
O  0.6918  0.4082  0.0536  1 Si 1.63
O  0.6918  0.5918  0.5536  1 Si 1.63
O  0.8099  0.4078  0.4015  1 Si 1.63
O  0.8099  0.5922  0.9015  1 Si 1.63
O  0.8124  0.2490  0.9074  1 Si 1.61
O  0.8124  0.7510  0.4074  1 Si 1.61
O  0.8234  0.0283  0.1963  2 Si 1.67-1.69
O  0.8234  0.9717  0.6963  2 Si 1.67-1.69
O  0.9260  0.4775  0.6975  2 Si 1.66-1.68
O  0.9260  0.5225  0.1975  2 Si 1.66-1.68
O  0.9392  0.2517  0.4253  1 Si 1.61
O  0.9392  0.7483  0.9253  1 Si 1.61
O  0.9404  0.0911  0.9149  1 Si 1.63
O  0.9404  0.9089  0.4149  1 Si 1.63

3.
# MgSiO3

A relaxed MgSiO3 crystal (PBE, the Materials Project).

Computed properties:
**Energy relative to the elements**: -3128 meV/atom
**Corrected total energy (MP2020 scheme)**: -7.502 eV per atom
**Total magnetization**: 0.00 μB per cell

a = 5.2902 Å, b = 18.4292 Å, c = 9.1851 Å
α = 90.00°, β = 90.00°, γ = 90.00°
With the nearest neighbours (Å) after each atom.
Fractional coordinates of all 80 atoms:
Mg  0.1442  0.1102  0.1553  6 O 2.02-2.21
Mg  0.1442  0.3898  0.6553  6 O 2.02-2.21
Mg  0.1546  0.1336  0.5045  4 O 2.00-2.22
Mg  0.1546  0.3664  0.0045  4 O 2.00-2.22
Mg  0.3454  0.6336  0.5045  4 O 2.00-2.22
Mg  0.3454  0.8664  0.0045  4 O 2.00-2.22
Mg  0.3558  0.6102  0.1553  6 O 2.02-2.21
Mg  0.3558  0.8898  0.6553  6 O 2.02-2.21
Mg  0.6442  0.1102  0.3447  6 O 2.02-2.21
Mg  0.6442  0.3898  0.8447  6 O 2.02-2.21
Mg  0.6546  0.1336  0.9955  4 O 2.00-2.22
Mg  0.6546  0.3664  0.4955  4 O 2.00-2.22
Mg  0.8454  0.6336  0.9955  4 O 2.00-2.22
Mg  0.8454  0.8664  0.4955  4 O 2.00-2.22
Mg  0.8558  0.6102  0.3447  6 O 2.02-2.21
Mg  0.8558  0.8898  0.8447  6 O 2.02-2.21
Si  0.0778  0.7405  0.2828  4 O 1.62-1.68
Si  0.0778  0.7595  0.7828  4 O 1.62-1.68
Si  0.2018  0.0348  0.8340  4 O 1.60-1.71
Si  0.2018  0.4652  0.3340  4 O 1.60-1.71
Si  0.2982  0.5348  0.8340  4 O 1.60-1.71
Si  0.2982  0.9652  0.3340  4 O 1.60-1.71
Si  0.4222  0.2405  0.2828  4 O 1.62-1.68
Si  0.4222  0.2595  0.7828  4 O 1.62-1.68
Si  0.5778  0.7405  0.2172  4 O 1.62-1.68
Si  0.5778  0.7595  0.7172  4 O 1.62-1.68
Si  0.7018  0.0348  0.6660  4 O 1.60-1.71
Si  0.7018  0.4652  0.1660  4 O 1.60-1.71
Si  0.7982  0.5348  0.6660  4 O 1.60-1.71
Si  0.7982  0.9652  0.1660  4 O 1.60-1.71
Si  0.9222  0.2405  0.2172  4 O 1.62-1.68
Si  0.9222  0.2595  0.7172  4 O 1.62-1.68
O  0.0408  0.6723  0.1712  1 Si 1.63
O  0.0408  0.8277  0.6712  1 Si 1.63
O  0.0706  0.7013  0.4404  1 Si 1.62
O  0.0706  0.7987  0.9404  1 Si 1.62
O  0.1071  0.5584  0.6921  2 Si 1.71
O  0.1071  0.9416  0.1921  2 Si 1.71
O  0.1786  0.2067  0.7329  2 Si 1.68
O  0.1786  0.2933  0.2329  2 Si 1.68
O  0.1818  0.5769  0.9714  1 Si 1.60
O  0.1818  0.9231  0.4714  1 Si 1.60
O  0.1965  0.5540  0.3441  1 Si 1.64
O  0.1965  0.9460  0.8441  1 Si 1.64
O  0.3035  0.0540  0.3441  1 Si 1.64
O  0.3035  0.4460  0.8441  1 Si 1.64
O  0.3182  0.0769  0.9714  1 Si 1.60
O  0.3182  0.4231  0.4714  1 Si 1.60
O  0.3214  0.7067  0.7329  2 Si 1.68
O  0.3214  0.7933  0.2329  2 Si 1.68
O  0.3929  0.0584  0.6921  2 Si 1.71
O  0.3929  0.4416  0.1921  2 Si 1.71
O  0.4294  0.2013  0.4404  1 Si 1.62
O  0.4294  0.2987  0.9404  1 Si 1.62
O  0.4592  0.1723  0.1712  1 Si 1.63
O  0.4592  0.3277  0.6712  1 Si 1.63
O  0.5408  0.6723  0.3288  1 Si 1.63
O  0.5408  0.8277  0.8288  1 Si 1.63
O  0.5706  0.7013  0.0596  1 Si 1.62
O  0.5706  0.7987  0.5596  1 Si 1.62
O  0.6071  0.5584  0.8079  2 Si 1.71
O  0.6071  0.9416  0.3079  2 Si 1.71
O  0.6786  0.2067  0.7671  2 Si 1.68
O  0.6786  0.2933  0.2671  2 Si 1.68
O  0.6818  0.5769  0.5286  1 Si 1.60
O  0.6818  0.9231  0.0286  1 Si 1.60
O  0.6965  0.5540  0.1559  1 Si 1.64
O  0.6965  0.9460  0.6559  1 Si 1.64
O  0.8035  0.0540  0.1559  1 Si 1.64
O  0.8035  0.4460  0.6559  1 Si 1.64
O  0.8182  0.0769  0.5286  1 Si 1.60
O  0.8182  0.4231  0.0286  1 Si 1.60
O  0.8214  0.7067  0.7671  2 Si 1.68
O  0.8214  0.7933  0.2671  2 Si 1.68
O  0.8929  0.0584  0.8079  2 Si 1.71
O  0.8929  0.4416  0.3079  2 Si 1.71
O  0.9294  0.2013  0.0596  1 Si 1.62
O  0.9294  0.2987  0.5596  1 Si 1.62
O  0.9592  0.1723  0.3288  1 Si 1.63
O  0.9592  0.3277  0.8288  1 Si 1.63

Which formula does entry 3 have? MgSiO3

Among the records above, which one has the lowest corrected total energy (MP2020 scheme)? number 1

corrected total energy (MP2020 scheme) of number 2 (MgSiO3)? -7.600 eV per atom